Entry 1:
Entry from the Materials Project database: crystalline Li3Si2Bi3O10 at its relaxed geometry (GGA-PBE).

Structure (POSCAR):
```
Li3Si2Bi3O10
1.0
5.4551 0.0000 0.0000
0.0000 6.9055 0.0000
-0.3894 0.0000 12.9040
Li Si Bi O
6 4 6 20
direct
0.0000 0.0173 0.0000
0.0000 0.9827 0.5000
0.5062 0.4616 0.7922
0.5062 0.5384 0.2922
0.9637 0.2308 0.6972
0.9637 0.7692 0.1972
0.4478 0.2380 0.5760
0.4478 0.7620 0.0760
0.9752 0.2878 0.2367
0.9752 0.7122 0.7367
0.0291 0.4669 0.9462
0.0291 0.5331 0.4462
0.4897 0.0080 0.8288
0.4897 0.9920 0.3288
0.5333 0.2426 0.0592
0.5333 0.7574 0.5592
0.0980 0.0887 0.2851
0.0980 0.9113 0.7850
0.1254 0.4877 0.2758
0.1254 0.5123 0.7758
0.1615 0.1789 0.5799
0.1615 0.8211 0.0799
0.2418 0.2004 0.9327
0.2418 0.7996 0.4327
0.4633 0.4484 0.5147
0.4633 0.5516 0.0147
0.5880 0.2438 0.6920
0.5880 0.7562 0.1920
0.6069 0.0822 0.5037
0.6069 0.9178 0.0037
0.6901 0.3019 0.2758
0.6901 0.6981 0.7758
0.7255 0.2641 0.9113
0.7255 0.7359 0.4113
0.9645 0.2794 0.1077
0.9645 0.7206 0.6077
```

Results
Calculated volume in Å³/cell: 486.09
Magnetization in μB/atom: 0.000
E_form in kJ per mole of atoms: -226.6

---

Entry 2:
Entry from the Materials Project database: crystalline Li5Si2BiO8 at its relaxed geometry (GGA-PBE).

Structure (POSCAR):
```
Li5Si2BiO8
1.0
3.7513 -3.9310 0.0000
3.7513 3.9310 0.0000
-0.1066 0.0000 6.4710
Li Si Bi O
5 2 1 8
direct
0.0000 0.0000 0.0000
0.3506 0.6494 0.0000
0.5098 0.1415 0.2203
0.8585 0.4902 0.7797
0.9656 0.0344 0.5000
0.5131 0.1447 0.7649
0.8553 0.4869 0.2351
0.3582 0.6418 0.5000
0.3730 0.0622 0.5356
0.3765 0.0056 0.9565
0.4838 0.4515 0.7816
0.5485 0.5162 0.2184
0.8096 0.1142 0.7535
0.8858 0.1904 0.2465
0.9378 0.6270 0.4644
0.9944 0.6235 0.0435
```

Results
Calculated volume in Å³/cell: 190.85
Magnetization in μB/atom: 0.000
E_form in kJ per mole of atoms: -248.1

---

Entry 3:
Entry from the Materials Project database: crystalline LiSi2Bi3O9 at its relaxed geometry (GGA-PBE).

Structure (POSCAR):
```
LiSi2Bi3O9
1.0
7.6472 0.0000 0.0000
0.0000 10.7263 0.0000
-0.0819 0.0000 10.7250
Li Si Bi O
4 8 12 36
direct
0.1260 0.0397 0.3543
0.1260 0.4603 0.8543
0.8740 0.5397 0.1457
0.8740 0.9603 0.6457
0.1752 0.1278 0.8043
0.1752 0.3722 0.3043
0.3955 0.6278 0.6896
0.3955 0.8722 0.1896
0.6045 0.1278 0.8104
0.6045 0.3722 0.3104
0.8248 0.6278 0.6957
0.8248 0.8722 0.1957
0.1186 0.6976 0.4093
0.1186 0.8024 0.9093
0.3352 0.5641 0.1021
0.3352 0.9359 0.6021
0.3656 0.2006 0.0907
0.3656 0.2994 0.5907
0.6344 0.7006 0.4093
0.6344 0.7994 0.9093
0.6648 0.0641 0.3979
0.6648 0.4359 0.8979
0.8814 0.1976 0.0907
0.8814 0.3024 0.5907
0.1048 0.2487 0.2280
0.1048 0.2513 0.7280
0.1106 0.5032 0.2406
0.1106 0.9968 0.7406
0.1232 0.6157 0.9800
0.1232 0.8843 0.4800
0.1498 0.1350 0.9559
0.1498 0.3650 0.4559
0.3136 0.0042 0.2263
0.3136 0.4958 0.7263
0.3288 0.7487 0.7733
0.3288 0.7513 0.2733
0.3577 0.1135 0.5021
0.3577 0.3865 0.0021
0.3847 0.6650 0.5398
0.3847 0.8350 0.0398
0.3895 0.1307 0.7763
0.3895 0.3693 0.2763
0.6105 0.6307 0.7237
0.6105 0.8693 0.2237
0.6153 0.1650 0.9602
0.6153 0.3350 0.4602
0.6423 0.6135 0.9979
0.6423 0.8865 0.4979
0.6712 0.2487 0.7267
0.6712 0.2513 0.2267
0.6864 0.5042 0.2737
0.6864 0.9958 0.7737
0.8502 0.6350 0.5441
0.8502 0.8650 0.0441
0.8768 0.1157 0.5200
0.8768 0.3843 0.0200
0.8894 0.0032 0.2594
0.8894 0.4968 0.7594
0.8952 0.7487 0.2720
0.8952 0.7513 0.7720
```

Results
Calculated volume in Å³/cell: 879.73
Magnetization in μB/atom: 0.000
E_form in kJ per mole of atoms: -227.5

---

Entry 4:
Entry from the Materials Project database: crystalline LiSi6BiO14 at its relaxed geometry (GGA-PBE).

Structure (POSCAR):
```
LiSi6BiO14
1.0
-3.8295 7.7998 9.8693
3.8295 -7.7998 9.8693
3.8295 7.7998 -9.8693
Li Si Bi O
4 24 4 56
direct
0.0000 0.0000 0.0000
0.2500 0.7500 0.5000
0.5000 0.5000 0.0000
0.7500 0.2500 0.5000
0.0263 0.0023 0.7324
0.0748 0.3897 0.1676
0.1324 0.6757 0.8081
0.1662 0.2609 0.4271
0.2221 0.9072 0.8324
0.2302 0.4977 0.0240
0.2698 0.2939 0.2676
0.2779 0.1103 0.6851
0.3338 0.7609 0.0947
0.3676 0.1757 0.5433
0.4252 0.5928 0.3149
0.4737 0.2061 0.9760
0.5263 0.7939 0.0240
0.5748 0.4072 0.6851
0.6324 0.8243 0.4567
0.6662 0.2391 0.9053
0.7221 0.8897 0.3149
0.7302 0.7061 0.7324
0.7698 0.5023 0.9760
0.7779 0.0928 0.1676
0.8338 0.7391 0.5729
0.8676 0.3243 0.1919
0.9252 0.6103 0.8324
0.9737 0.9977 0.2676
0.0345 0.7500 0.2845
0.4655 0.7500 0.7155
0.5345 0.2500 0.2845
0.9655 0.2500 0.7155
0.0130 0.6862 0.8276
0.0158 0.0553 0.4409
0.0409 0.2317 0.9361
0.0602 0.0924 0.2806
0.0816 0.6006 0.3090
0.1144 0.5553 0.0395
0.1363 0.4641 0.6005
0.1415 0.8146 0.8276
0.1426 0.9537 0.7570
0.1883 0.2204 0.2806
0.1967 0.3856 0.2430
0.2044 0.2683 0.8091
0.2084 0.8994 0.4810
0.2295 0.7548 0.9843
0.2705 0.2548 0.5254
0.2916 0.7726 0.6910
0.2956 0.1048 0.0639
0.3033 0.5463 0.1889
0.3117 0.5924 0.0321
0.3574 0.1144 0.8111
0.3585 0.1862 0.6731
0.3637 0.9641 0.3278
0.3856 0.4251 0.4409
0.4184 0.7274 0.5190
0.4398 0.7204 0.0321
0.4591 0.3952 0.1909
0.4842 0.9251 0.0395
0.4870 0.3146 0.6731
0.5130 0.6854 0.3269
0.5158 0.0749 0.9605
0.5409 0.6048 0.8091
0.5602 0.2796 0.9679
0.5816 0.2726 0.4810
0.6144 0.5749 0.5591
0.6363 0.0359 0.6722
0.6415 0.8138 0.3269
0.6426 0.8856 0.1889
0.6883 0.4076 0.9679
0.6967 0.4537 0.8111
0.7044 0.8952 0.9361
0.7084 0.2274 0.3090
0.7295 0.7452 0.4746
0.7705 0.2452 0.0157
0.7916 0.1006 0.5190
0.7956 0.7317 0.1909
0.8033 0.6144 0.7570
0.8117 0.7796 0.7194
0.8574 0.0463 0.2430
0.8585 0.1854 0.1724
0.8637 0.5359 0.3995
0.8856 0.4447 0.9605
0.9184 0.3994 0.6910
0.9398 0.9076 0.7194
0.9591 0.7683 0.0639
0.9842 0.9447 0.5591
0.9870 0.3138 0.1724
```

Results
Calculated volume in Å³/cell: 1179.16
Magnetization in μB/atom: 0.000
E_form in kJ per mole of atoms: -290.7

---

Entry 5:
Entry from the Materials Project database: crystalline LiSi2BiO6 at its relaxed geometry (GGA-PBE).

Structure (POSCAR):
```
LiSi2BiO6
1.0
5.1094 -4.9456 0.0000
5.1094 4.9456 0.0000
-1.8971 0.0000 5.1925
Li Si Bi O
2 4 2 12
direct
0.2390 0.7610 0.7500
0.7610 0.2390 0.2500
0.2236 0.3835 0.2932
0.3835 0.2236 0.7932
0.6165 0.7764 0.2068
0.7764 0.6165 0.7068
0.1245 0.8755 0.2500
0.8755 0.1245 0.7500
0.0378 0.2276 0.1890
0.1665 0.6076 0.3932
0.2276 0.0378 0.6890
0.3250 0.3687 0.0481
0.3687 0.3250 0.5481
0.3924 0.8335 0.1068
0.6076 0.1665 0.8932
0.6313 0.6750 0.4519
0.6750 0.6313 0.9519
0.7724 0.9622 0.3110
0.8335 0.3924 0.6068
0.9622 0.7724 0.8110
```

Results
Energy above the most stable polymorph in this dataset in eV per atom: 0.020
Calculated volume in Å³/cell: 262.42
Magnetization in μB/atom: 0.000
E_form in kJ per mole of atoms: -261.9

---

Entry 6:
Entry from the Materials Project database: crystalline Sr3LiBiO6 at its relaxed geometry (GGA-PBE).

Structure (POSCAR):
```
Sr3LiBiO6
1.0
4.8345 -5.0513 0.0000
4.8345 5.0513 0.0000
-0.4084 0.0000 6.9787
Sr Li Bi O
6 2 2 12
direct
0.0743 0.9257 0.5000
0.2769 0.4277 0.2971
0.4277 0.2769 0.7971
0.5784 0.7765 0.6482
0.7765 0.5784 0.1482
0.9257 0.0743 0.0000
0.4055 0.9274 0.1688
0.9274 0.4055 0.6688
0.1781 0.6777 0.8958
0.6777 0.1781 0.3958
0.0942 0.3854 0.9418
0.1328 0.7596 0.1889
0.2291 0.5991 0.6052
0.2540 0.9701 0.8478
0.3854 0.0942 0.4418
0.4680 0.6254 0.9762
0.5991 0.2291 0.1052
0.6254 0.4680 0.4762
0.7263 0.8856 0.3203
0.7596 0.1328 0.6889
0.8856 0.7263 0.8203
0.9701 0.2540 0.3478
```

Results
Calculated volume in Å³/cell: 340.85
Magnetization in μB/atom: 0.000
E_form in kJ per mole of atoms: -243.8

---

Entry 7:
Entry from the Materials Project database: crystalline Li2Ti3BiO8 at its relaxed geometry (GGA-PBE).

Structure (POSCAR):
```
Li2Ti3BiO8
1.0
3.0047 1.7348 5.7155
-3.0047 1.7348 5.7155
0.0000 -3.4696 5.7155
Li Ti Bi O
2 3 1 8
direct
0.0941 0.0941 0.0941
0.9059 0.9059 0.9059
0.0000 0.5000 0.5000
0.5000 0.0000 0.5000
0.5000 0.5000 0.0000
0.5000 0.5000 0.5000
0.2441 0.2441 0.7100
0.2441 0.7100 0.2441
0.2735 0.2735 0.2735
0.2900 0.7559 0.7559
0.7100 0.2441 0.2441
0.7265 0.7265 0.7265
0.7559 0.2900 0.7559
0.7559 0.7559 0.2900
```

Results
Calculated volume in Å³/cell: 178.76
Magnetization in μB/atom: 0.064
E_form in kJ per mole of atoms: -276.5

---

Entry 8:
Entry from the Materials Project database: crystalline Li2Ti3Bi4O12 at its relaxed geometry (GGA-PBE).

Structure (POSCAR):
```
Li2Ti3Bi4O12
1.0
5.7190 0.0000 0.0000
0.0000 16.4373 2.8555
0.0000 -16.4373 2.8555
Li Ti Bi O
4 6 8 24
direct
0.2289 0.1814 0.8186
0.2711 0.6814 0.3186
0.7289 0.3186 0.6814
0.7711 0.8186 0.1814
0.0000 0.7665 0.7665
0.0201 0.8576 0.6207
0.4799 0.3576 0.1207
0.5000 0.2665 0.2665
0.5201 0.1207 0.3576
0.9799 0.6207 0.8576
0.0303 0.1870 0.3120
0.1272 0.0741 0.4980
0.3728 0.5741 0.9980
0.4697 0.6870 0.8120
0.5303 0.8120 0.6870
0.6272 0.9980 0.5741
0.8728 0.4980 0.0741
0.9697 0.3120 0.1870
0.0250 0.5848 0.9372
0.0807 0.8262 0.7110
0.2209 0.5934 0.3469
0.2386 0.7667 0.2841
0.2416 0.9057 0.1151
0.2480 0.0087 0.0349
0.2520 0.5087 0.5349
0.2584 0.4057 0.6151
0.2614 0.2667 0.7841
0.2791 0.0934 0.8469
0.4193 0.3262 0.2110
0.4750 0.0848 0.4372
0.5250 0.4372 0.0848
0.5807 0.2110 0.3262
0.7209 0.8469 0.0934
0.7386 0.7841 0.2667
0.7416 0.6151 0.4057
0.7480 0.5349 0.5087
0.7520 0.0349 0.0087
0.7584 0.1151 0.9057
0.7614 0.2841 0.7667
0.7791 0.3469 0.5934
0.9193 0.7110 0.8262
0.9750 0.9372 0.5848
```

Results
Calculated volume in Å³/cell: 536.86
Magnetization in μB/atom: 0.004
E_form in kJ per mole of atoms: -219.5

---

Entry 9:
Entry from the Materials Project database: crystalline LiY4Bi4O12 at its relaxed geometry (GGA-PBE).

Structure (POSCAR):
```
LiY4Bi4O12
1.0
5.9668 0.0000 0.0000
0.4290 6.0574 0.0000
0.2227 0.3793 9.4304
Li Y Bi O
1 4 4 12
direct
0.0000 0.0000 0.0000
0.3684 0.7057 0.8149
0.3794 0.6894 0.2682
0.7760 0.2032 0.7503
0.8255 0.1316 0.3225
0.2783 0.1431 0.5473
0.4345 0.1426 0.0619
0.8175 0.6754 0.5623
0.8876 0.5615 0.0235
0.0431 0.4973 0.8210
0.1154 0.9948 0.7346
0.1521 0.9018 0.4020
0.2410 0.7699 0.0506
0.5080 0.3444 0.2718
0.5359 0.4889 0.6454
0.5770 0.9473 0.6514
0.5969 0.4173 0.9303
0.6846 0.8008 0.3533
0.6996 0.9410 0.9312
0.9147 0.3005 0.5132
0.9955 0.2340 0.1271
```

Results
Energy above the most stable polymorph in this dataset in eV per atom: 0.000
Calculated volume in Å³/cell: 340.85
Magnetization in μB/atom: 0.048
E_form in kJ per mole of atoms: -248.6

---

Entry 10:
Entry from the Materials Project database: crystalline LiY4Bi4O12 at its relaxed geometry (GGA-PBE).

Structure (POSCAR):
```
LiY4Bi4O12
1.0
5.5870 0.0000 0.0000
0.0000 10.1485 0.0000
-0.0116 0.0000 5.9313
Li Y Bi O
1 4 4 12
direct
0.0000 0.0000 0.0000
0.0916 0.0000 0.4367
0.4969 0.0000 0.8804
0.6134 0.5000 0.8228
0.9950 0.5000 0.3373
0.1162 0.3081 0.8499
0.1162 0.6919 0.8499
0.5706 0.2230 0.3386
0.5706 0.7770 0.3386
0.2490 0.1362 0.1138
0.2490 0.8638 0.1138
0.2743 0.5000 0.0549
0.2862 0.5000 0.5985
0.3403 0.1404 0.6197
0.3403 0.8596 0.6197
0.7347 0.0000 0.2207
0.8042 0.3588 0.0721
0.8042 0.6412 0.0721
0.8162 0.3564 0.5871
0.8162 0.6436 0.5871
0.8546 0.0000 0.7260
```

Results
Energy above the most stable polymorph in this dataset in eV per atom: 0.013
Calculated volume in Å³/cell: 336.31
Magnetization in μB/atom: 0.045
E_form in kJ per mole of atoms: -247.4

---

Entry 11:
Entry from the Materials Project database: crystalline Li4Bi2S7 at its relaxed geometry (GGA-PBE).

Structure (POSCAR):
```
Li4Bi2S7
1.0
6.1714 0.0000 0.0000
0.0000 12.5587 0.0000
-4.8866 0.0000 7.3612
Li Bi S
8 4 14
direct
0.1416 0.1121 0.4757
0.1416 0.3879 0.9757
0.2114 0.6668 0.8798
0.2114 0.8332 0.3798
0.7886 0.1668 0.6202
0.7886 0.3332 0.1202
0.8584 0.6121 0.0243
0.8584 0.8879 0.5243
0.3502 0.0266 0.1402
0.3502 0.4734 0.6402
0.6498 0.5266 0.3598
0.6498 0.9734 0.8598
0.1871 0.0142 0.7616
0.1871 0.4858 0.2616
0.2037 0.7289 0.6150
0.2037 0.7711 0.1150
0.4027 0.2359 0.2053
0.4027 0.2641 0.7053
0.5000 0.0000 0.5000
0.5000 0.5000 0.0000
0.5973 0.7359 0.2947
0.5973 0.7641 0.7947
0.7963 0.2289 0.8850
0.7963 0.2711 0.3850
0.8129 0.5142 0.7384
0.8129 0.9858 0.2384
```

Results
Calculated volume in Å³/cell: 570.53
Magnetization in μB/atom: 0.000
E_form in kJ per mole of atoms: -89.8